1.
The following is a meta-GGA r2SCAN calculation of a geometry-optimized EuGa2Sb2 structure, from the Materials Project.

Geometry as POSCAR:
```
EuGa2Sb2
1.0
18.259 0.000 0.000
0.000 4.348 0.000
0.000 0.000 6.716
Eu Ga Sb
4 8 8
Direct
0.116 0.250 0.232 Eu
0.384 0.750 0.732 Eu
0.616 0.250 0.268 Eu
0.884 0.750 0.768 Eu
0.071 0.750 0.561 Ga
0.208 0.750 0.548 Ga
0.292 0.250 0.048 Ga
0.429 0.250 0.061 Ga
0.571 0.750 0.939 Ga
0.708 0.750 0.952 Ga
0.792 0.250 0.452 Ga
0.929 0.250 0.439 Ga
0.030 0.250 0.769 Sb
0.213 0.750 0.948 Sb
0.287 0.250 0.448 Sb
0.470 0.750 0.269 Sb
0.530 0.250 0.731 Sb
0.713 0.750 0.552 Sb
0.787 0.250 0.052 Sb
0.970 0.750 0.231 Sb
```

Summary:
The calculation puts the total energy at -23.1662 eV/atom. The calculation puts the energy of formation from the pure elements at -3.012 eV per formula unit.

2.
The following is a meta-GGA r2SCAN calculation of a geometry-optimized YbEuGa2 structure, from the Materials Project.

Geometry as POSCAR:
```
YbEuGa2
1.0
7.212 0.000 0.000
0.000 7.212 0.000
0.000 0.000 7.212
Yb Eu Ga
4 4 8
Direct
0.000 0.000 0.000 Yb
0.000 0.500 0.500 Yb
0.500 0.000 0.500 Yb
0.500 0.500 0.000 Yb
0.000 0.000 0.500 Eu
0.000 0.500 0.000 Eu
0.500 0.000 0.000 Eu
0.500 0.500 0.500 Eu
0.250 0.250 0.250 Ga
0.250 0.250 0.750 Ga
0.250 0.750 0.250 Ga
0.250 0.750 0.750 Ga
0.750 0.250 0.250 Ga
0.750 0.250 0.750 Ga
0.750 0.750 0.250 Ga
0.750 0.750 0.750 Ga
```

Summary:
The calculation puts the total energy at -25.0231 eV/atom. The calculation puts the energy of formation from the pure elements at -2.157 eV per formula unit.

3.
The following is a meta-GGA r2SCAN calculation of a geometry-optimized Eu5Ge3 structure, from the Materials Project.

Geometry as POSCAR:
```
Eu5Ge3
1.0
-3.952 3.952 7.494
3.952 -3.952 7.494
3.952 3.952 -7.494
Eu Ge
10 6
Direct
0.000 0.000 0.000 Eu
0.030 0.530 0.851 Eu
0.178 0.030 0.500 Eu
0.322 0.822 0.851 Eu
0.470 0.322 0.500 Eu
0.500 0.500 0.000 Eu
0.530 0.678 0.500 Eu
0.678 0.178 0.149 Eu
0.822 0.970 0.500 Eu
0.970 0.470 0.149 Eu
0.115 0.385 0.500 Ge
0.250 0.250 0.000 Ge
0.385 0.885 0.271 Ge
0.615 0.115 0.729 Ge
0.750 0.750 0.000 Ge
0.885 0.615 0.500 Ge
```

Summary:
The calculation puts the total energy at -30.0184 eV/atom. The calculation puts the energy of formation from the pure elements at -5.927 eV per formula unit.

4.
The following is a meta-GGA r2SCAN calculation of a geometry-optimized EuGe2 structure, from the Materials Project.

Geometry as POSCAR:
```
EuGe2
1.0
4.358 0.000 0.000
-2.179 3.774 0.000
0.000 0.000 4.291
Eu Ge
1 2
Direct
0.000 0.000 0.000 Eu
0.333 0.667 0.484 Ge
0.667 0.333 0.516 Ge
```

Summary:
The calculation puts the total energy at -22.6305 eV/atom. The calculation puts the energy of formation from the pure elements at -1.627 eV per formula unit.

5.
The following is a meta-GGA r2SCAN calculation of a geometry-optimized Eu3Ge5 structure, from the Materials Project.

Geometry as POSCAR:
```
Eu3Ge5
1.0
4.862 -3.965 0.000
4.862 3.965 0.000
0.000 0.000 9.759
Eu Ge
6 10
Direct
0.154 0.846 0.750 Eu
0.294 0.294 0.000 Eu
0.294 0.294 0.500 Eu
0.706 0.706 0.000 Eu
0.706 0.706 0.500 Eu
0.846 0.154 0.250 Eu
0.022 0.596 0.250 Ge
0.194 0.806 0.060 Ge
0.194 0.806 0.440 Ge
0.404 0.978 0.250 Ge
0.446 0.554 0.250 Ge
0.554 0.446 0.750 Ge
0.596 0.022 0.750 Ge
0.806 0.194 0.560 Ge
0.806 0.194 0.940 Ge
0.978 0.404 0.750 Ge
```

Summary:
The calculation puts the total energy at -23.7795 eV/atom. The calculation puts the energy of formation from the pure elements at -5.314 eV per formula unit.

6.
The following is a meta-GGA r2SCAN calculation of a geometry-optimized EuGe2Ir2 structure, from the Materials Project.

Geometry as POSCAR:
```
EuGe2Ir2
1.0
4.183 0.000 0.000
0.000 4.183 0.000
0.000 0.000 10.543
Eu Ge Ir
2 4 4
Direct
0.000 0.000 0.000 Eu
0.500 0.500 0.500 Eu
0.000 0.000 0.373 Ge
0.000 0.000 0.627 Ge
0.500 0.500 0.127 Ge
0.500 0.500 0.873 Ge
0.000 0.500 0.250 Ir
0.000 0.500 0.750 Ir
0.500 0.000 0.250 Ir
0.500 0.000 0.750 Ir
```

Summary:
The calculation puts the total energy at -34.9945 eV/atom. The calculation puts the energy of formation from the pure elements at -3.989 eV per formula unit.

7.
The following is a meta-GGA r2SCAN calculation of a geometry-optimized EuMgGe structure, from the Materials Project.

Geometry as POSCAR:
```
EuMgGe
1.0
7.634 0.000 0.000
0.000 4.534 0.000
0.000 0.000 8.461
Eu Mg Ge
4 4 4
Direct
0.018 0.250 0.183 Eu
0.482 0.750 0.683 Eu
0.518 0.250 0.317 Eu
0.982 0.750 0.817 Eu
0.144 0.250 0.564 Mg
0.356 0.750 0.064 Mg
0.644 0.250 0.936 Mg
0.856 0.750 0.436 Mg
0.224 0.750 0.389 Ge
0.276 0.250 0.889 Ge
0.724 0.750 0.111 Ge
0.776 0.250 0.611 Ge
```

Summary:
The calculation puts the total energy at -19.5136 eV/atom. The calculation puts the energy of formation from the pure elements at -1.979 eV per formula unit.

8.
The following is a meta-GGA r2SCAN calculation of a geometry-optimized EuNiGe structure, from the Materials Project.

Geometry as POSCAR:
```
EuNiGe
1.0
6.118 0.000 0.000
0.000 6.174 0.000
-3.834 0.000 6.478
Eu Ni Ge
4 4 4
Direct
0.198 0.139 0.394 Eu
0.198 0.361 0.894 Eu
0.802 0.639 0.106 Eu
0.802 0.861 0.606 Eu
0.386 0.596 0.327 Ni
0.386 0.904 0.827 Ni
0.614 0.096 0.173 Ni
0.614 0.404 0.673 Ni
0.276 0.645 0.577 Ge
0.276 0.855 0.077 Ge
0.724 0.145 0.923 Ge
0.724 0.355 0.423 Ge
```

Summary:
The calculation puts the total energy at -22.0824 eV/atom. The calculation puts the energy of formation from the pure elements at -1.872 eV per formula unit.

9.
The following is a meta-GGA r2SCAN calculation of a geometry-optimized EuGe3Pd structure, from the Materials Project.

Geometry as POSCAR:
```
EuGe3Pd
1.0
4.465 0.000 0.000
0.000 4.465 0.000
0.000 0.000 10.107
Eu Ge Pd
2 6 2
Direct
0.000 0.000 0.000 Eu
0.500 0.500 0.500 Eu
0.000 0.000 0.405 Ge
0.000 0.500 0.258 Ge
0.000 0.500 0.758 Ge
0.500 0.000 0.258 Ge
0.500 0.000 0.758 Ge
0.500 0.500 0.905 Ge
0.000 0.000 0.648 Pd
0.500 0.500 0.148 Pd
```

Summary:
The calculation puts the total energy at -21.2225 eV/atom. The calculation puts the energy of formation from the pure elements at -3.015 eV per formula unit.

10.
The following is a meta-GGA r2SCAN calculation of a geometry-optimized EuGePd structure, from the Materials Project.

Geometry as POSCAR:
```
EuGePd
1.0
6.180 0.000 0.000
0.000 6.040 0.000
-3.627 0.000 7.116
Eu Ge Pd
4 4 4
Direct
0.201 0.138 0.379 Eu
0.201 0.362 0.879 Eu
0.799 0.638 0.121 Eu
0.799 0.862 0.621 Eu
0.235 0.639 0.550 Ge
0.235 0.861 0.050 Ge
0.765 0.139 0.950 Ge
0.765 0.361 0.450 Ge
0.393 0.602 0.314 Pd
0.393 0.898 0.814 Pd
0.607 0.102 0.186 Pd
0.607 0.398 0.686 Pd
```

Summary:
The calculation puts the total energy at -25.9592 eV/atom. The calculation puts the energy of formation from the pure elements at -2.524 eV per formula unit.

11.
The following is a meta-GGA r2SCAN calculation of a geometry-optimized EuGePd2 structure, from the Materials Project.

Geometry as POSCAR:
```
EuGePd2
1.0
7.723 0.000 0.000
0.000 6.999 0.000
0.000 0.000 5.738
Eu Ge Pd
4 4 8
Direct
0.028 0.250 0.139 Eu
0.472 0.750 0.639 Eu
0.528 0.250 0.361 Eu
0.972 0.750 0.861 Eu
0.128 0.750 0.357 Ge
0.372 0.250 0.857 Ge
0.628 0.750 0.143 Ge
0.872 0.250 0.643 Ge
0.168 0.054 0.595 Pd
0.168 0.446 0.595 Pd
0.332 0.554 0.095 Pd
0.332 0.946 0.095 Pd
0.668 0.054 0.905 Pd
0.668 0.446 0.905 Pd
0.832 0.554 0.405 Pd
0.832 0.946 0.405 Pd
```

Summary:
The calculation puts the total energy at -25.3755 eV/atom. The calculation puts the energy of formation from the pure elements at -3.188 eV per formula unit.

12.
The following is a meta-GGA r2SCAN calculation of a geometry-optimized EuGePt structure, from the Materials Project.

Geometry as POSCAR:
```
EuGePt
1.0
6.543 0.000 0.000
0.000 6.543 0.000
0.000 0.000 6.543
Eu Ge Pt
4 4 4
Direct
0.125 0.125 0.125 Eu
0.375 0.875 0.625 Eu
0.625 0.375 0.875 Eu
0.875 0.625 0.375 Eu
0.172 0.328 0.672 Ge
0.328 0.672 0.172 Ge
0.672 0.172 0.328 Ge
0.828 0.828 0.828 Ge
0.078 0.578 0.922 Pt
0.422 0.422 0.422 Pt
0.578 0.922 0.078 Pt
0.922 0.078 0.578 Pt
```

Summary:
The calculation puts the total energy at -35.6609 eV/atom. The calculation puts the energy of formation from the pure elements at -3.102 eV per formula unit.